The following is a PBE calculation of crystalline Ca2Sn2F3 at its relaxed geometry, from the Materials Project database.

The structure in POSCAR format:
```
Ca2Sn2F3
1.0
3.8201 6.8794 0.0000
-3.8201 6.8794 0.0000
0.0000 0.6195 6.5065
Sn Ca F
4 4 6
Direct
0.0951 0.0951 0.2266 Sn
0.5679 0.5679 0.1453 Sn
0.8057 0.4171 0.5228 Sn
0.4171 0.8057 0.5228 Sn
0.3533 0.3533 0.5005 Ca
0.8665 0.8665 0.4006 Ca
0.5254 0.0352 0.9772 Ca
0.0352 0.5254 0.9772 Ca
0.3368 0.3368 0.8449 F
0.5627 0.1561 0.2553 F
0.8285 0.8285 0.0680 F
0.1561 0.5627 0.2553 F
0.6399 0.0418 0.6519 F
0.0418 0.6399 0.6519 F
```

Properties
**Electronic total energy**: -68.015 eV per cell
**Total magnetic moment**: 0.00 μB/cell

=====

The following is a PBE calculation of crystalline KF3 at its relaxed geometry, from the Materials Project database.

The structure in POSCAR format:
```
KF3
1.0
7.3712 0.0000 0.0000
0.0000 7.5965 0.0000
0.0000 0.0000 9.8979
F K
24 8
Direct
0.7893 0.6932 0.6243 F
0.2316 0.0618 0.3716 F
0.7662 0.9668 0.0097 F
0.7684 0.5618 0.1284 F
0.9608 0.2967 0.8895 F
0.2346 0.4633 0.6894 F
0.7316 0.4382 0.6284 F
0.0392 0.7967 0.6105 F
0.4608 0.2033 0.1105 F
0.0069 0.3787 0.4054 F
0.7654 0.9633 0.8106 F
0.2107 0.1932 0.8757 F
0.5069 0.1213 0.5946 F
0.4931 0.6213 0.9054 F
0.2338 0.4668 0.4903 F
0.2662 0.5332 0.9903 F
0.2684 0.9382 0.8716 F
0.7107 0.3068 0.1243 F
0.2893 0.8068 0.3757 F
0.2654 0.5367 0.1894 F
0.5392 0.7033 0.3895 F
0.7338 0.0332 0.5097 F
0.7346 0.0367 0.3106 F
0.9931 0.8787 0.0946 F
0.0716 0.2269 0.1475 K
0.5716 0.2731 0.8525 K
0.4284 0.7731 0.6475 K
0.0321 0.1742 0.6294 K
0.9284 0.7269 0.3525 K
0.9679 0.6742 0.8706 K
0.5321 0.3258 0.3706 K
0.4679 0.8258 0.1294 K
```

Properties
**Electronic total energy**: -96.333 eV per cell
**Total magnetic moment**: 16.00 μB/cell

=====

Q: Number 2 is which compound?
A: KF3